## Pm2ZnPb (PBE)

Data for an optimized crystal structure of Pm2ZnPb. Values from VASP.

Summary:
**Energy of formation from the pure elements**: -409 meV/atom

```
&SYSTEM
  ibrav = 0, nat = 4, ntyp = 3
/
ATOMIC_SPECIES
Pm 145.00 Pm.upf
Zn 65.41 Zn.upf
Pb 207.20 Pb.upf
ATOMIC_POSITIONS crystal
Pm 0.750 0.750 0.750
Pm 0.250 0.250 0.250
Zn 0.500 0.500 0.500
Pb 0.000 0.000 0.000
CELL_PARAMETERS angstrom
0.000 3.803 3.803
3.803 0.000 3.803
3.803 3.803 0.000
```

## PrPb3 (PBE)

Data for an optimized crystal structure of PrPb3. Values from VASP.

Summary:
**Energy of formation from the pure elements**: -391 meV/atom

```
&SYSTEM
  ibrav = 0, nat = 4, ntyp = 2
/
ATOMIC_SPECIES
Pr 140.91 Pr.upf
Pb 207.20 Pb.upf
ATOMIC_POSITIONS crystal
Pr 0.000 0.000 0.000
Pb 0.000 0.500 0.500
Pb 0.500 0.500 0.000
Pb 0.500 0.000 0.500
CELL_PARAMETERS angstrom
4.962 0.000 0.000
0.000 4.962 0.000
0.000 0.000 4.962
```

## Pr3Pb (PBE)

Data for an optimized crystal structure of Pr3Pb. Values from VASP.

Summary:
**Energy of formation from the pure elements**: -332 meV/atom

```
&SYSTEM
  ibrav = 0, nat = 4, ntyp = 2
/
ATOMIC_SPECIES
Pr 140.91 Pr.upf
Pb 207.20 Pb.upf
ATOMIC_POSITIONS crystal
Pr 0.500 0.000 0.500
Pr 0.000 0.500 0.500
Pr 0.500 0.500 0.000
Pb 0.000 0.000 0.000
CELL_PARAMETERS angstrom
-3.506 1.960 -3.053
-1.291 -4.642 -1.497
-3.391 -0.259 3.727
```

## Pr5Pb4 (PBE)

Data for an optimized crystal structure of Pr5Pb4. Values from VASP.

Summary:
**Energy of formation from the pure elements**: -577 meV/atom

```
&SYSTEM
  ibrav = 0, nat = 36, ntyp = 2
/
ATOMIC_SPECIES
Pr 140.91 Pr.upf
Pb 207.20 Pb.upf
ATOMIC_POSITIONS crystal
Pr 0.623 0.161 0.619
Pr 0.123 0.339 0.881
Pr 0.377 0.839 0.119
Pr 0.877 0.661 0.381
Pr 0.377 0.839 0.381
Pr 0.877 0.661 0.119
Pr 0.623 0.161 0.881
Pr 0.123 0.339 0.619
Pr 0.469 0.679 0.601
Pr 0.969 0.821 0.899
Pr 0.531 0.321 0.101
Pr 0.031 0.179 0.399
Pr 0.531 0.321 0.399
Pr 0.031 0.179 0.101
Pr 0.469 0.679 0.899
Pr 0.969 0.821 0.601
Pr 0.792 0.498 0.750
Pr 0.292 0.002 0.750
Pr 0.208 0.502 0.250
Pr 0.708 0.998 0.250
Pb 0.718 0.969 0.457
Pb 0.218 0.531 0.043
Pb 0.282 0.031 0.957
Pb 0.782 0.469 0.543
Pb 0.282 0.031 0.543
Pb 0.782 0.469 0.957
Pb 0.718 0.969 0.043
Pb 0.218 0.531 0.457
Pb 0.426 0.376 0.750
Pb 0.926 0.124 0.750
Pb 0.574 0.624 0.250
Pb 0.074 0.876 0.250
Pb 0.662 0.853 0.750
Pb 0.162 0.647 0.750
Pb 0.338 0.147 0.250
Pb 0.838 0.353 0.250
CELL_PARAMETERS angstrom
8.495 0.000 0.000
0.000 8.648 0.000
0.000 0.000 16.350
```

Which of these has the highest energy of formation from the pure elements?
Pr3Pb